No. 1
## LiBe2Ir (PBE-GGA)

Data for crystalline LiBe2Ir at its relaxed geometry.

Unit cell a=5.5011 b=5.5011 c=5.5011 alpha=90.00 beta=90.00 gamma=90.00
With the nearest neighbours (Å) after each atom.
Space group Fm-3m (No. 225)
One atom of each set of equivalent atoms:
Li: 0.0000 0.0000 0.0000 (multiplicity 4)  8 Be 2.38
Be: 0.2500 0.2500 0.2500 (multiplicity 8)  4 Li 2.38, 4 Ir 2.38
Ir: 0.0000 0.0000 0.5000 (multiplicity 4)  8 Be 2.38

Energy relative to the elements, meV/atom: -386
Crystal system: cubic
Energy, eV/atom: -4.943

***

No. 2
## TaFeP (PBE-GGA)

Data for crystalline TaFeP at its relaxed geometry.

Unit cell a=6.1226 b=3.5923 c=6.9471 alpha=90.00 beta=90.00 gamma=90.00
With the nearest neighbours (Å) after each atom.
Space group Pnma (No. 62)
One atom of each set of equivalent atoms:
Ta: 0.0222 0.2500 0.1762 (multiplicity 4)  5 P 2.58-2.60, 6 Fe 2.74-2.86
Fe: 0.1418 0.2500 0.5631 (multiplicity 4)  4 P 2.25-2.36
P: 0.2229 0.7500 0.3805 (multiplicity 4)  4 Fe 2.25-2.36

Energy relative to the elements, meV/atom: -840
Crystal system: orthorhombic
Energy, eV/atom: -9.420

***

No. 3
## K2LaCuCl6 (PBE-GGA)

Data for crystalline K2LaCuCl6 at its relaxed geometry.

Unit cell a=10.6043 b=10.6043 c=10.6043 alpha=90.00 beta=90.00 gamma=90.00
With the nearest neighbours (Å) after each atom.
Space group Fm-3m (No. 225)
One atom of each set of equivalent atoms:
K: 0.2500 0.2500 0.2500 (multiplicity 8)  12 Cl 3.75
La: 0.0000 0.0000 0.0000 (multiplicity 4)  6 Cl 2.76
Cu: 0.0000 0.0000 0.5000 (multiplicity 4)  6 Cl 2.54
Cl: 0.0000 0.0000 0.2606 (multiplicity 24)  1 Cu 2.54, 1 La 2.76

Energy relative to the elements, meV/atom: -2116
Crystal system: cubic
Energy, eV/atom: -3.983